(1)
An optimized crystal structure of TiZnPd2, computed with meta-GGA r2SCAN.

Volume, Å³ per cell: 236.12
ΔE_f, eV/atom: -0.59

Lattice parameters (Å, degrees): 6.181 6.181 6.181 90.00 90.00 90.00
Element x y z (fractional)
Ti (0.000, 0.000, 0.000)
Ti (0.000, 0.500, 0.500)
Ti (0.500, 0.000, 0.500)
Ti (0.500, 0.500, 0.000)
Zn (0.000, 0.000, 0.500)
Zn (0.000, 0.500, 0.000)
Zn (0.500, 0.000, 0.000)
Zn (0.500, 0.500, 0.500)
Pd (0.250, 0.250, 0.250)
Pd (0.250, 0.250, 0.750)
Pd (0.250, 0.750, 0.250)
Pd (0.250, 0.750, 0.750)
Pd (0.750, 0.250, 0.250)
Pd (0.750, 0.250, 0.750)
Pd (0.750, 0.750, 0.250)
Pd (0.750, 0.750, 0.750)

=====

(2)
An optimized crystal structure of YbSi3Pd5, computed with meta-GGA r2SCAN.

Volume, Å³ per cell: 560.40
ΔE_f, eV/atom: -0.83

Lattice parameters (Å, degrees): 19.468 3.986 7.222 90.00 90.00 90.00
Element x y z (fractional)
Yb (0.145, 0.250, 0.123)
Yb (0.355, 0.750, 0.623)
Yb (0.645, 0.250, 0.377)
Yb (0.855, 0.750, 0.877)
Si (0.078, 0.750, 0.853)
Si (0.084, 0.750, 0.400)
Si (0.240, 0.250, 0.632)
Si (0.260, 0.750, 0.132)
Si (0.416, 0.250, 0.900)
Si (0.422, 0.250, 0.353)
Si (0.578, 0.750, 0.647)
Si (0.584, 0.750, 0.100)
Si (0.740, 0.250, 0.868)
Si (0.760, 0.750, 0.368)
Si (0.916, 0.250, 0.600)
Si (0.922, 0.250, 0.147)
Pd (0.010, 0.750, 0.125)
Pd (0.011, 0.250, 0.376)
Pd (0.116, 0.250, 0.650)
Pd (0.200, 0.750, 0.833)
Pd (0.202, 0.750, 0.432)
Pd (0.298, 0.250, 0.932)
Pd (0.300, 0.250, 0.333)
Pd (0.384, 0.750, 0.150)
Pd (0.489, 0.750, 0.876)
Pd (0.490, 0.250, 0.625)
Pd (0.510, 0.750, 0.375)
Pd (0.511, 0.250, 0.124)
Pd (0.616, 0.250, 0.850)
Pd (0.700, 0.750, 0.667)
Pd (0.702, 0.750, 0.068)
Pd (0.798, 0.250, 0.568)
Pd (0.800, 0.250, 0.167)
Pd (0.884, 0.750, 0.350)
Pd (0.989, 0.750, 0.624)
Pd (0.990, 0.250, 0.875)